1.
First-principles (PBE with a Hubbard U) data for Li4Ti3Co3O12 after structural relaxation, as listed in Materials Project. Values from VASP.

```
&SYSTEM
  ibrav = 0, nat = 44, ntyp = 4
/
ATOMIC_SPECIES
O 16.00 O.upf
Co 58.93 Co.upf
Li 6.94 Li.upf
Ti 47.87 Ti.upf
CELL_PARAMETERS angstrom
5.5871 3.7594 -4.2421
-3.0985 5.6361 5.2948
7.4305 -1.2267 2.5724
ATOMIC_POSITIONS crystal
O 0.7272 0.0205 0.2701
O 0.0041 0.7302 0.9868
O 0.1758 0.0998 0.1853
O 0.8981 0.8342 0.4410
O 0.2269 0.5156 0.7622
O 0.3256 0.3995 0.3170
O 0.4985 0.2317 0.4904
O 0.9352 0.3324 0.3925
O 0.8239 0.9011 0.8218
O 0.4316 0.8312 0.8957
O 0.4018 0.3354 0.9376
O 0.5077 0.7672 0.5164
O 0.7695 0.4780 0.2207
O 0.3346 0.9348 0.3430
O 0.1061 0.1462 0.5633
O 0.8295 0.4363 0.8465
O 0.6739 0.6008 0.6911
O 0.5638 0.1862 0.1127
O 0.6576 0.0669 0.6481
O 0.2696 0.9804 0.7207
O 0.0094 0.2655 0.0115
O 0.1595 0.5657 0.1423
O 0.0638 0.6887 0.6127
O 0.6065 0.6509 0.0712
Co 0.4167 0.5834 0.9168
Co 0.0809 0.9158 0.5823
Co 0.2508 0.7506 0.7540
Co 0.9167 0.0832 0.4165
Co 0.5826 0.4160 0.0793
Co 0.7522 0.2511 0.2514
Li 0.2362 0.2343 0.7572
Li 0.4163 0.0833 0.9167
Li 0.5980 0.9332 0.0757
Li 0.1078 0.4468 0.5606
Li 0.6628 0.3311 0.6692
Li 0.7248 0.7192 0.2732
Li 0.9172 0.5835 0.4165
Li 0.1706 0.8355 0.1640
Ti 0.6705 0.8463 0.6723
Ti 0.8275 0.6726 0.8427
Ti 0.3388 0.1867 0.3481
Ti 0.1627 0.3207 0.1609
Ti 0.0057 0.4941 0.9903
Ti 0.4942 0.9799 0.4850
```

Calculated values
The calculated density is 3.93 Mg/m³. As for the crystal system: triclinic. The energy of formation comes out at -2430 meV per atom. The total energy is -6.924 eV/atom.

2.
First-principles (PBE with a Hubbard U) data for Li3V3SbO8 after structural relaxation, as listed in Materials Project. Values from VASP.

```
&SYSTEM
  ibrav = 0, nat = 30, ntyp = 4
/
ATOMIC_SPECIES
O 16.00 O.upf
V 50.94 V.upf
Li 6.94 Li.upf
Sb 121.76 Sb.upf
CELL_PARAMETERS angstrom
-5.9049 -1.1046 -1.0862
-1.8789 -5.7614 -0.7673
0.9067 1.4937 10.4249
ATOMIC_POSITIONS crystal
O 0.8852 0.8860 0.1194
O 0.8776 0.3432 0.1196
O 0.6145 0.6144 0.3806
O 0.1240 0.6572 0.8799
O 0.6095 0.6106 0.8606
O 0.3777 0.8431 0.6196
O 0.1143 0.1147 0.8806
O 0.8434 0.3756 0.6200
O 0.6242 0.1569 0.3800
O 0.1563 0.6229 0.3805
O 0.3855 0.3857 0.6194
O 0.3431 0.8756 0.1200
O 0.3891 0.3909 0.1394
O 0.8890 0.8910 0.6394
O 0.6561 0.1229 0.8804
O 0.1095 0.1106 0.3606
V 0.7486 0.2506 0.7504
V 0.2485 0.7505 0.2504
V 0.7495 0.2514 0.2496
V 0.2495 0.7515 0.7496
V 0.0013 0.9987 0.5000
V 0.5010 0.4990 0.0000
Li 0.7503 0.7497 0.7500
Li 0.5004 0.9998 0.5000
Li 0.2503 0.2497 0.2500
Li 0.0002 0.4996 0.5000
Li 0.5002 0.9997 0.9999
Li 0.0003 0.4997 0.0001
Sb 0.0004 0.9996 0.9999
Sb 0.5007 0.4993 0.5000
```

Calculated values
The calculated density is 4.33 Mg/m³. The energy of formation comes out at -2300 meV per atom. The total energy is -6.706 eV/atom.

3.
First-principles (PBE with a Hubbard U) data for La7SmTi3V5O20 after structural relaxation, as listed in Materials Project. Values from VASP.

```
&SYSTEM
  ibrav = 0, nat = 144, ntyp = 5
/
ATOMIC_SPECIES
Ti 47.87 Ti.upf
O 16.00 O.upf
V 50.94 V.upf
Sm 150.36 Sm.upf
La 138.91 La.upf
CELL_PARAMETERS angstrom
0.0070 -0.0019 11.0152
11.2815 0.0071 0.0073
-5.6337 16.1124 -5.5130
ATOMIC_POSITIONS crystal
Ti 0.0019 0.5004 0.0016
Ti 0.2509 0.7512 0.5004
Ti 0.9995 0.9992 0.9985
Ti 0.0027 0.4983 0.5012
Ti 0.4993 0.0007 0.4979
Ti 0.5027 0.0021 0.0004
Ti 0.7526 0.7489 0.9998
Ti 0.7524 0.7515 0.5012
Ti 0.2512 0.7488 0.9998
Ti 0.5032 0.5016 0.5036
Ti 0.5027 0.5000 0.0013
Ti 0.7515 0.2505 0.0008
O 0.4364 0.8972 0.3783
O 0.3072 0.7685 0.1193
O 0.8102 0.2697 0.1199
O 0.8657 0.6163 0.4782
O 0.4397 0.4054 0.3805
O 0.4444 0.9016 0.8805
O 0.6090 0.1086 0.4764
O 0.4602 0.0324 0.7510
O 0.3681 0.1083 0.9753
O 0.7114 0.4760 0.7578
O 0.7125 0.9749 0.7521
O 0.9351 0.4040 0.3795
O 0.1842 0.7265 0.3793
O 0.9313 0.9014 0.8803
O 0.6916 0.2310 0.8816
O 0.3218 0.2728 0.6264
O 0.8885 0.3872 0.0248
O 0.8009 0.7716 0.6203
O 0.0653 0.1052 0.6242
O 0.3679 0.6163 0.9780
O 0.3167 0.2649 0.1267
O 0.6153 0.1126 0.9759
O 0.2110 0.4704 0.2507
O 0.1968 0.9627 0.2404
O 0.1359 0.3925 0.5237
O 0.3110 0.7701 0.6203
O 0.3884 0.8871 0.0243
O 0.4454 0.4045 0.8821
O 0.6429 0.8893 0.0266
O 0.6156 0.6131 0.4775
O 0.6379 0.8870 0.5216
O 0.2092 0.4672 0.7488
O 0.6838 0.7238 0.3797
O 0.4528 0.0329 0.2501
O 0.0535 0.0988 0.1183
O 0.8860 0.8801 0.5241
O 0.3918 0.3944 0.5251
O 0.8569 0.1051 0.4675
O 0.1877 0.7250 0.8811
O 0.1073 0.1090 0.4644
O 0.9632 0.5256 0.7527
O 0.6847 0.2306 0.3728
O 0.6365 0.3957 0.5266
O 0.8900 0.8873 0.0274
O 0.0569 0.6011 0.6209
O 0.4551 0.5277 0.2410
O 0.2053 0.2268 0.3719
O 0.0553 0.6045 0.1201
O 0.1150 0.6123 0.9774
O 0.9371 0.4020 0.8825
O 0.1353 0.8844 0.0254
O 0.7083 0.4662 0.2489
O 0.3893 0.8824 0.5227
O 0.6855 0.7295 0.8813
O 0.1101 0.1051 0.9735
O 0.9471 0.0300 0.2420
O 0.8205 0.2744 0.6264
O 0.2147 0.9744 0.7529
O 0.1439 0.8826 0.5249
O 0.6192 0.6108 0.9776
O 0.1961 0.2355 0.8759
O 0.5573 0.6029 0.6219
O 0.5643 0.6008 0.1208
O 0.9615 0.0259 0.7497
O 0.8628 0.6121 0.9740
O 0.8156 0.7693 0.1187
O 0.8891 0.3929 0.5230
O 0.9606 0.5295 0.2486
O 0.3916 0.3992 0.0304
O 0.8635 0.1132 0.9778
O 0.9409 0.8910 0.3716
O 0.1173 0.6116 0.4777
O 0.3660 0.6160 0.4752
O 0.6376 0.3861 0.0248
O 0.1411 0.3992 0.0323
O 0.5681 0.0979 0.1195
O 0.3644 0.1045 0.4759
O 0.4612 0.5301 0.7513
O 0.5566 0.0946 0.6205
O 0.7054 0.9707 0.2500
V 0.2513 0.2511 0.0013
V 0.7487 0.2512 0.4995
V 0.1181 0.1384 0.7506
V 0.6211 0.6402 0.2497
V 0.1191 0.6419 0.7508
V 0.6151 0.1368 0.2470
V 0.8636 0.8589 0.2458
V 0.3736 0.3625 0.7534
V 0.8651 0.3593 0.7534
V 0.1115 0.1372 0.2468
V 0.8669 0.8564 0.7502
V 0.0017 0.9961 0.4983
V 0.6208 0.1438 0.7515
V 0.3708 0.8582 0.7501
V 0.1219 0.6412 0.2491
V 0.6191 0.6439 0.7512
V 0.2520 0.2506 0.4991
V 0.3715 0.3644 0.2518
V 0.8707 0.3588 0.2493
V 0.3624 0.8575 0.2487
Sm 0.6899 0.4374 0.8737
Sm 0.8151 0.0614 0.1233
Sm 0.0608 0.8150 0.1248
Sm 0.3115 0.5621 0.1262
La 0.5553 0.3214 0.1281
La 0.1902 0.4365 0.3744
La 0.9381 0.6845 0.3721
La 0.5665 0.8211 0.6285
La 0.8128 0.5598 0.1293
La 0.1853 0.4409 0.8715
La 0.4364 0.6794 0.3700
La 0.8180 0.0650 0.6251
La 0.9315 0.1767 0.3733
La 0.5629 0.3181 0.6303
La 0.9333 0.6785 0.8692
La 0.1809 0.9420 0.3712
La 0.3133 0.0638 0.6249
La 0.5676 0.8180 0.1282
La 0.0679 0.3189 0.1279
La 0.1873 0.9385 0.8707
La 0.6939 0.4390 0.3768
La 0.3137 0.5592 0.6291
La 0.4311 0.1804 0.8721
La 0.4390 0.6820 0.8714
La 0.3090 0.0581 0.1273
La 0.0675 0.8200 0.6302
La 0.0594 0.3135 0.6246
La 0.6921 0.9405 0.3746
La 0.6843 0.9404 0.8700
La 0.8177 0.5596 0.6293
La 0.9360 0.1778 0.8703
La 0.4367 0.1868 0.3764
```

Calculated values
The calculated density is 6.11 Mg/m³. As for the crystal system: triclinic. The energy of formation comes out at -3082 meV per atom. The total energy is -8.224 eV/atom.

4.
First-principles (PBE with a Hubbard U) data for CrO3F3 after structural relaxation, as listed in Materials Project. Values from VASP.

```
&SYSTEM
  ibrav = 0, nat = 7, ntyp = 3
/
ATOMIC_SPECIES
Cr 52.00 Cr.upf
O 16.00 O.upf
F 19.00 F.upf
CELL_PARAMETERS angstrom
-1.9840 -4.2515 -1.6821
3.2855 -4.0356 1.9703
-5.0336 0.1781 1.9046
ATOMIC_POSITIONS crystal
Cr 0.8897 0.0115 0.0523
O 0.3783 0.5006 0.8315
O 0.9921 0.8851 0.7027
O 0.3144 0.2883 0.7777
F 0.5827 0.3545 0.2205
F 0.7243 0.8256 0.1795
F 0.1185 0.1344 0.2359
```

Calculated values
The calculated density is 2.21 Mg/m³. As for the crystal system: triclinic. The energy of formation comes out at -1496 meV per atom. The total energy is -5.264 eV/atom. Its relative energy among the computed polymorphs is 0 meV per atom.